*a*
An optimized crystal structure of CaFe2As2O10, computed with PBE with a Hubbard U.

Cell: 9.075 9.075 11.999 Å, 90.00 90.00 130.25°
Fractional positions:
Ca (0.000, 0.000, 0.250)
Ca (0.000, 0.000, 0.750)
Ca (0.000, 0.500, 0.000)
Ca (0.500, 0.000, 0.500)
Fe (0.245, 0.488, 0.369)
Fe (0.245, 0.488, 0.631)
Fe (0.488, 0.245, 0.131)
Fe (0.488, 0.245, 0.869)
Fe (0.512, 0.755, 0.131)
Fe (0.512, 0.755, 0.869)
Fe (0.755, 0.512, 0.369)
Fe (0.755, 0.512, 0.631)
As (0.211, 0.301, 0.000)
As (0.213, 0.787, 0.250)
As (0.213, 0.787, 0.750)
As (0.301, 0.211, 0.500)
As (0.699, 0.789, 0.500)
As (0.787, 0.213, 0.250)
As (0.787, 0.213, 0.750)
As (0.789, 0.699, 0.000)
O (0.007, 0.761, 0.000)
O (0.027, 0.326, 0.258)
O (0.027, 0.326, 0.742)
O (0.086, 0.419, 0.500)
O (0.211, 0.244, 0.385)
O (0.211, 0.244, 0.615)
O (0.239, 0.993, 0.500)
O (0.244, 0.211, 0.115)
O (0.244, 0.211, 0.885)
O (0.258, 0.705, 0.136)
O (0.258, 0.705, 0.864)
O (0.295, 0.742, 0.364)
O (0.295, 0.742, 0.636)
O (0.326, 0.027, 0.242)
O (0.326, 0.027, 0.758)
O (0.386, 0.554, 0.000)
O (0.419, 0.086, 0.000)
O (0.425, 0.575, 0.250)
O (0.425, 0.575, 0.750)
O (0.446, 0.614, 0.500)
O (0.554, 0.386, 0.500)
O (0.575, 0.425, 0.250)
O (0.575, 0.425, 0.750)
O (0.581, 0.914, 0.000)
O (0.614, 0.446, 0.000)
O (0.674, 0.973, 0.242)
O (0.674, 0.973, 0.758)
O (0.705, 0.258, 0.364)
O (0.705, 0.258, 0.636)
O (0.742, 0.295, 0.136)
O (0.742, 0.295, 0.864)
O (0.756, 0.789, 0.115)
O (0.756, 0.789, 0.885)
O (0.761, 0.007, 0.500)
O (0.789, 0.756, 0.385)
O (0.789, 0.756, 0.615)
O (0.914, 0.581, 0.500)
O (0.973, 0.674, 0.258)
O (0.973, 0.674, 0.742)
O (0.993, 0.239, 0.000)

*b*
An optimized crystal structure of CaFe2As2O10, computed with PBE with a Hubbard U.

Cell: 5.390 5.390 7.773 Å, 109.72 109.72 68.73°
Fractional positions:
Ca (0.000, 0.000, 0.000)
Fe (0.000, 0.500, 0.500)
Fe (0.500, 0.000, 0.500)
As (0.422, 0.422, 0.212)
As (0.578, 0.578, 0.788)
O (0.161, 0.161, 0.563)
O (0.223, 0.684, 0.746)
O (0.268, 0.268, 0.997)
O (0.316, 0.777, 0.254)
O (0.330, 0.330, 0.375)
O (0.670, 0.670, 0.625)
O (0.684, 0.223, 0.746)
O (0.732, 0.732, 0.003)
O (0.777, 0.316, 0.254)
O (0.839, 0.839, 0.437)

Relative to the most stable structure, the computed energies are *a* 0; *b* 12, all in meV/atom.